(1)
{
  "formula": "K2Zn3P4H4O12",
  "functional": "GGA-PBE",
  "state": "relaxed",
  "cell": [[12.556, 0.000, 0.000], [0.000, 13.851, 0.000], [-0.115, 0.000, 8.753]],
  "species": ["K", "K", "K", "K", "K", "K", "K", "K", "Zn", "Zn", "Zn", "Zn", "Zn", "Zn", "Zn", "Zn", "Zn", "Zn", "Zn", "Zn", "P", "P", "P", "P", "P", "P", "P", "P", "P", "P", "P", "P", "P", "P", "P", "P", "H", "H", "H", "H", "H", "H", "H", "H", "H", "H", "H", "H", "H", "H", "H", "H", "O", "O", "O", "O", "O", "O", "O", "O", "O", "O", "O", "O", "O", "O", "O", "O", "O", "O", "O", "O", "O", "O", "O", "O", "O", "O", "O", "O", "O", "O", "O", "O", "O", "O", "O", "O", "O", "O", "O", "O", "O", "O", "O", "O", "O", "O", "O", "O"],
  "fractional_positions": [[0.019, 0.054, 0.239], [0.019, 0.446, 0.739], [0.474, 0.054, 0.257], [0.474, 0.446, 0.757], [0.526, 0.554, 0.243], [0.526, 0.946, 0.743], [0.981, 0.554, 0.261], [0.981, 0.946, 0.761], [0.072, 0.185, 0.587], [0.072, 0.315, 0.087], [0.250, 0.563, 0.443], [0.250, 0.937, 0.943], [0.424, 0.176, 0.618], [0.424, 0.324, 0.118], [0.576, 0.676, 0.882], [0.576, 0.824, 0.382], [0.750, 0.063, 0.057], [0.750, 0.437, 0.557], [0.928, 0.685, 0.913], [0.928, 0.815, 0.413], [0.081, 0.697, 0.628], [0.081, 0.803, 0.128], [0.244, 0.010, 0.569], [0.244, 0.490, 0.069], [0.256, 0.156, 0.070], [0.256, 0.344, 0.570], [0.423, 0.701, 0.596], [0.423, 0.799, 0.096], [0.577, 0.201, 0.904], [0.577, 0.299, 0.404], [0.744, 0.656, 0.430], [0.744, 0.844, 0.930], [0.756, 0.510, 0.931], [0.756, 0.990, 0.431], [0.919, 0.197, 0.872], [0.919, 0.303, 0.372], [0.172, 0.719, 0.719], [0.172, 0.781, 0.219], [0.241, 0.572, 0.973], [0.241, 0.928, 0.473], [0.268, 0.180, 0.914], [0.268, 0.320, 0.414], [0.338, 0.728, 0.690], [0.338, 0.772, 0.190], [0.662, 0.228, 0.810], [0.662, 0.272, 0.310], [0.732, 0.680, 0.586], [0.732, 0.820, 0.086], [0.759, 0.072, 0.527], [0.759, 0.428, 0.027], [0.828, 0.219, 0.781], [0.828, 0.281, 0.281], [0.004, 0.641, 0.731], [0.004, 0.859, 0.231], [0.038, 0.704, 0.075], [0.038, 0.796, 0.575], [0.117, 0.632, 0.496], [0.117, 0.868, 0.996], [0.147, 0.194, 0.120], [0.147, 0.306, 0.620], [0.153, 0.075, 0.507], [0.153, 0.425, 0.007], [0.223, 0.524, 0.232], [0.223, 0.976, 0.732], [0.263, 0.046, 0.087], [0.263, 0.454, 0.587], [0.349, 0.204, 0.159], [0.349, 0.296, 0.659], [0.357, 0.054, 0.548], [0.357, 0.446, 0.048], [0.379, 0.642, 0.459], [0.379, 0.858, 0.959], [0.473, 0.702, 0.047], [0.473, 0.798, 0.547], [0.499, 0.637, 0.694], [0.499, 0.863, 0.194], [0.501, 0.137, 0.806], [0.501, 0.363, 0.306], [0.527, 0.202, 0.453], [0.527, 0.298, 0.953], [0.621, 0.142, 0.041], [0.621, 0.358, 0.541], [0.643, 0.554, 0.952], [0.643, 0.946, 0.452], [0.651, 0.704, 0.341], [0.651, 0.796, 0.841], [0.737, 0.546, 0.413], [0.737, 0.954, 0.913], [0.777, 0.024, 0.268], [0.777, 0.476, 0.768], [0.847, 0.575, 0.993], [0.847, 0.925, 0.493], [0.853, 0.694, 0.380], [0.853, 0.806, 0.880], [0.883, 0.132, 0.004], [0.883, 0.368, 0.504], [0.962, 0.204, 0.425], [0.962, 0.296, 0.925], [0.996, 0.141, 0.769], [0.996, 0.359, 0.269]],
  "magmom_total_mub_per_fu": 0.0,
  "formation_energy_mev_per_atom": -2041.3,
  "sg": "P2_1/c"
}

***

(2)
{
  "formula": "KZrP2HO8",
  "functional": "GGA-PBE",
  "state": "relaxed",
  "cell": [[9.354, 0.000, 0.000], [0.000, 5.420, 0.000], [-6.938, 0.000, 15.354]],
  "species": ["K", "K", "K", "K", "Zr", "Zr", "Zr", "Zr", "P", "P", "P", "P", "P", "P", "P", "P", "H", "H", "H", "H", "O", "O", "O", "O", "O", "O", "O", "O", "O", "O", "O", "O", "O", "O", "O", "O", "O", "O", "O", "O", "O", "O", "O", "O", "O", "O", "O", "O", "O", "O", "O", "O"],
  "fractional_positions": [[0.000, 0.039, 0.250], [0.000, 0.961, 0.750], [0.500, 0.057, 0.750], [0.500, 0.943, 0.250], [0.252, 0.222, 0.499], [0.252, 0.778, 0.999], [0.748, 0.222, 0.001], [0.748, 0.778, 0.501], [0.164, 0.276, 0.111], [0.164, 0.724, 0.611], [0.333, 0.279, 0.885], [0.333, 0.721, 0.385], [0.667, 0.279, 0.615], [0.667, 0.721, 0.115], [0.836, 0.276, 0.389], [0.836, 0.724, 0.889], [0.251, 0.477, 0.243], [0.251, 0.523, 0.743], [0.749, 0.477, 0.257], [0.749, 0.523, 0.757], [0.011, 0.237, 0.411], [0.011, 0.763, 0.911], [0.195, 0.492, 0.569], [0.195, 0.508, 0.069], [0.232, 0.044, 0.087], [0.232, 0.956, 0.587], [0.253, 0.295, 0.786], [0.253, 0.301, 0.214], [0.253, 0.699, 0.714], [0.253, 0.705, 0.286], [0.263, 0.061, 0.917], [0.263, 0.939, 0.417], [0.309, 0.480, 0.427], [0.309, 0.520, 0.927], [0.489, 0.228, 0.586], [0.489, 0.772, 0.086], [0.511, 0.228, 0.914], [0.511, 0.772, 0.414], [0.691, 0.480, 0.073], [0.691, 0.520, 0.573], [0.737, 0.061, 0.583], [0.737, 0.939, 0.083], [0.747, 0.295, 0.714], [0.747, 0.301, 0.286], [0.747, 0.699, 0.786], [0.747, 0.705, 0.214], [0.768, 0.044, 0.413], [0.768, 0.956, 0.913], [0.805, 0.492, 0.931], [0.805, 0.508, 0.431], [0.989, 0.237, 0.089], [0.989, 0.763, 0.589]],
  "magmom_total_mub_per_fu": 0.0,
  "formation_energy_mev_per_atom": -2882.1,
  "sg": "P2/c"
}

***

(3)
{
  "formula": "K2Pr2H3S4O18",
  "functional": "GGA-PBE",
  "state": "relaxed",
  "cell": [[11.016, 0.000, 0.000], [0.000, 15.650, 0.000], [-3.812, 0.000, 9.449]],
  "species": ["K", "K", "K", "K", "K", "K", "K", "K", "Pr", "Pr", "Pr", "Pr", "Pr", "Pr", "Pr", "Pr", "H", "H", "H", "H", "H", "H", "H", "H", "H", "H", "H", "H", "S", "S", "S", "S", "S", "S", "S", "S", "S", "S", "S", "S", "S", "S", "S", "S", "O", "O", "O", "O", "O", "O", "O", "O", "O", "O", "O", "O", "O", "O", "O", "O", "O", "O", "O", "O", "O", "O", "O", "O", "O", "O", "O", "O", "O", "O", "O", "O", "O", "O", "O", "O", "O", "O", "O", "O", "O", "O", "O", "O", "O", "O", "O", "O", "O", "O", "O", "O", "O", "O", "O", "O", "O", "O", "O", "O", "O", "O", "O", "O", "O", "O", "O", "O", "O", "O", "O", "O"],
  "fractional_positions": [[0.153, 0.171, 0.174], [0.153, 0.329, 0.674], [0.345, 0.581, 0.327], [0.345, 0.919, 0.827], [0.655, 0.081, 0.173], [0.655, 0.419, 0.673], [0.847, 0.671, 0.326], [0.847, 0.829, 0.826], [0.004, 0.581, 0.765], [0.004, 0.919, 0.265], [0.498, 0.670, 0.770], [0.498, 0.830, 0.270], [0.502, 0.170, 0.730], [0.502, 0.330, 0.230], [0.996, 0.081, 0.735], [0.996, 0.419, 0.235], [0.140, 0.748, 0.794], [0.140, 0.752, 0.294], [0.382, 0.008, 0.243], [0.382, 0.492, 0.743], [0.488, 0.525, 0.131], [0.488, 0.975, 0.631], [0.512, 0.025, 0.369], [0.512, 0.475, 0.869], [0.618, 0.508, 0.257], [0.618, 0.992, 0.757], [0.860, 0.248, 0.706], [0.860, 0.252, 0.206], [0.153, 0.090, 0.532], [0.153, 0.410, 0.032], [0.167, 0.571, 0.551], [0.167, 0.929, 0.051], [0.341, 0.668, 0.984], [0.341, 0.832, 0.484], [0.344, 0.169, 0.939], [0.344, 0.331, 0.439], [0.656, 0.669, 0.561], [0.656, 0.831, 0.061], [0.659, 0.168, 0.516], [0.659, 0.332, 0.016], [0.833, 0.071, 0.949], [0.833, 0.429, 0.449], [0.847, 0.590, 0.968], [0.847, 0.910, 0.468], [0.045, 0.740, 0.759], [0.045, 0.760, 0.259], [0.064, 0.631, 0.559], [0.064, 0.869, 0.059], [0.067, 0.159, 0.552], [0.067, 0.341, 0.052], [0.103, 0.059, 0.384], [0.103, 0.441, 0.884], [0.123, 0.534, 0.407], [0.123, 0.966, 0.907], [0.151, 0.020, 0.631], [0.151, 0.480, 0.131], [0.186, 0.505, 0.663], [0.186, 0.995, 0.163], [0.204, 0.148, 0.899], [0.204, 0.352, 0.399], [0.215, 0.621, 0.945], [0.215, 0.879, 0.445], [0.288, 0.123, 0.568], [0.288, 0.377, 0.068], [0.292, 0.617, 0.579], [0.292, 0.883, 0.079], [0.330, 0.735, 0.875], [0.330, 0.765, 0.375], [0.360, 0.239, 0.847], [0.360, 0.261, 0.347], [0.374, 0.705, 0.127], [0.374, 0.795, 0.627], [0.398, 0.196, 0.091], [0.398, 0.304, 0.591], [0.421, 0.096, 0.916], [0.421, 0.404, 0.416], [0.446, 0.608, 0.982], [0.446, 0.892, 0.482], [0.478, 0.503, 0.776], [0.478, 0.997, 0.276], [0.522, 0.003, 0.724], [0.522, 0.497, 0.224], [0.554, 0.108, 0.518], [0.554, 0.392, 0.018], [0.579, 0.596, 0.584], [0.579, 0.904, 0.084], [0.602, 0.696, 0.409], [0.602, 0.804, 0.909], [0.626, 0.205, 0.373], [0.626, 0.295, 0.873], [0.640, 0.739, 0.653], [0.640, 0.761, 0.153], [0.670, 0.235, 0.625], [0.670, 0.265, 0.125], [0.708, 0.117, 0.921], [0.708, 0.383, 0.421], [0.712, 0.623, 0.932], [0.712, 0.877, 0.432], [0.785, 0.121, 0.555], [0.785, 0.379, 0.055], [0.796, 0.648, 0.601], [0.796, 0.852, 0.101], [0.814, 0.005, 0.837], [0.814, 0.495, 0.337], [0.849, 0.520, 0.869], [0.849, 0.980, 0.369], [0.877, 0.034, 0.093], [0.877, 0.466, 0.593], [0.897, 0.559, 0.116], [0.897, 0.941, 0.616], [0.933, 0.659, 0.948], [0.933, 0.841, 0.448], [0.936, 0.131, 0.941], [0.936, 0.369, 0.441], [0.955, 0.240, 0.741], [0.955, 0.260, 0.241]],
  "magmom_total_mub_per_fu": 0.9,
  "formation_energy_mev_per_atom": -2261.4,
  "sg": "P2_1/c"
}